(1)
Here is a relaxed structure of NaSrDyFeO6 from the Materials Project database. Energies are from GGA+U.

abc: 8.1240 8.1240 8.1240
angles: 90.00 90.00 90.00
Closest atoms and distances in Å follow each position.
Space group F-43m (No. 216)
Asymmetric unit:
Na 0.0000 0.0000 0.0000  12 O 2.88
Sr 0.0000 0.0000 0.5000  12 O 2.88
Dy 0.2500 0.2500 0.2500  6 O 2.20
Fe 0.2500 0.2500 0.7500  6 O 1.87
O 0.0202 0.2500 0.7500  1 Fe 1.87


(2)
Here is a relaxed structure of Ta2Mo2O11 from the Materials Project database. Energies are from GGA+U.

abc: 5.7112 5.7112 25.9879
angles: 90.00 90.00 120.00
Closest atoms and distances in Å follow each position.
Space group R-3m (No. 166, hexagonal axes)
Asymmetric unit:
Ta 0.0000 0.0000 0.1281  6 O 1.93-2.06
Mo 0.0000 0.0000 0.3872  4 O 1.73-1.82
O 0.0000 0.0000 0.3205  1 Mo 1.73
O 0.0000 0.5000 0.5000  2 Ta 1.93
O 0.0115 0.5057 0.7446  1 Mo 1.82


(3)
Here is a relaxed structure of La3Mn8BiO20 from the Materials Project database. Energies are from GGA+U.

abc: 7.7461 5.8302 8.7909
angles: 90.00 90.08 90.00
Closest atoms and distances in Å follow each position.
Space group Pm (No. 6)
Asymmetric unit:
La 0.0000 0.0000 0.0000  8 O 2.44-2.60
La 0.2092 0.0000 0.4973  8 O 2.42-2.65
La 0.5032 0.0000 0.8432  8 O 2.44-2.61
Mn 0.2651 0.5000 0.8195  5 O 1.95-2.13
Mn 0.3580 0.2582 0.1705  6 O 1.92-1.98
Mn 0.4511 0.5000 0.5220  5 O 1.95-2.12
Mn 0.7646 0.5000 0.0214  5 O 1.94-2.12
Mn 0.8569 0.2574 0.6699  6 O 1.91-1.98
Mn 0.9435 0.5000 0.3217  4 O 1.93-1.97
Bi 0.7044 0.0000 0.3423  8 O 2.41-2.65
O 0.0081 0.5000 0.7340  3 Mn 1.92-2.13
O 0.0108 0.0000 0.7221  2 Mn 1.97
O 0.2044 0.0000 0.2221  2 Mn 1.97
O 0.2075 0.5000 0.2375  2 Mn 1.92
O 0.2603 0.2498 0.9660  2 Mn 1.95
O 0.3570 0.2784 0.6700  2 Mn 1.97-1.98
O 0.4594 0.2486 0.3751  2 Mn 1.95-1.96
O 0.5081 0.5000 0.1051  3 Mn 1.92-2.12
O 0.5134 0.0000 0.1206  2 Mn 1.98
O 0.7016 0.0000 0.6162  2 Mn 1.98
O 0.7064 0.5000 0.6077  3 Mn 1.91-2.12
O 0.7605 0.2495 0.8753  2 Mn 1.94-1.96
O 0.8552 0.2784 0.1716  2 Mn 1.97
O 0.9533 0.2506 0.4664  2 Mn 1.93-1.94


(4)
Here is a relaxed structure of Li9Co7O16 from the Materials Project database. Energies are from GGA+U.

Properties
The energy above the most stable polymorph in this dataset is 50 meV per atom.

abc: 11.7443 5.8317 8.2943
angles: 90.00 90.67 90.00
Closest atoms and distances in Å follow each position.
Space group C2/m (No. 12)
Asymmetric unit:
Li 0.0000 0.0000 0.0000  6 O 2.04-2.14
Li 0.0000 0.0000 0.5000  6 O 2.09-2.11
Li 0.0000 0.5000 0.0000  6 O 2.13-2.22
Li 0.1241 0.2467 0.2532  6 O 2.11-2.16
Li 0.2493 0.0000 0.4998  6 O 2.07-2.23
Co 0.0000 0.5000 0.5000  6 O 1.90-1.93
Co 0.1210 0.2447 0.7445  6 O 1.94-2.07
Co 0.2502 0.0000 0.9996  6 O 2.00-2.02
O 0.0031 0.5000 0.7330  3 Co 1.93-2.03, 2 Li 2.11
O 0.0100 0.0000 0.7544  2 Co 1.94, 4 Li 2.04-2.13
O 0.1158 0.2721 0.5090  2 Co 1.90-1.96, 3 Li 2.07-2.13
O 0.1322 0.2513 0.9935  3 Co 2.00-2.07, 3 Li 2.13-2.16
O 0.2420 0.5000 0.7568  3 Co 2.02-2.06, 3 Li 2.13
O 0.2438 0.0000 0.7567  3 Co 2.02-2.03, 3 Li 2.13-2.14


(5)
Here is a relaxed structure of MnOF from the Materials Project database. Energies are from GGA+U.

abc: 4.5707 7.6585 7.7006
angles: 94.85 90.29 90.18
Closest atoms and distances in Å follow each position.
Space group P1 (No. 1)
Asymmetric unit:
Mn 0.0000 0.0000 0.0000  3 O 1.93-2.02, 2 F 2.00-2.13
Mn 0.0011 0.6005 0.9003  3 O 1.94-1.99, 3 F 2.02-2.13
Mn 0.0381 0.5188 0.4992  4 O 1.98-2.04, 2 F 2.11-2.12
Mn 0.0471 0.1144 0.3927  2 O 1.92, 4 F 2.03-2.14
Mn 0.4881 0.8672 0.6792  3 O 1.95-1.97, 3 F 2.06-2.17
Mn 0.4917 0.7650 0.2767  3 O 1.94-1.99, 3 F 2.03-2.17
Mn 0.5192 0.2771 0.7702  3 O 1.92-2.04, 1 F 1.99
Mn 0.5223 0.3747 0.1706  3 O 1.93-2.01, 3 F 2.04-2.11
O 0.2046 0.8187 0.8611  3 Mn 1.93-1.97
O 0.2266 0.9567 0.2175  3 Mn 1.92-2.02
O 0.2315 0.4621 0.7178  3 Mn 1.98-2.00
O 0.2518 0.3262 0.3519  3 Mn 1.92-2.04
O 0.2760 0.7380 0.4891  3 Mn 1.94-2.00
O 0.7169 0.0469 0.8169  3 Mn 1.96-2.04
O 0.7297 0.4166 0.9489  3 Mn 1.92-2.01
O 0.7336 0.5593 0.3165  3 Mn 1.97-2.02
F 0.2431 0.5833 0.1179  3 Mn 2.02-2.11
F 0.2633 0.2289 0.9966  3 Mn 2.04-2.16
F 0.2740 0.1026 0.6279  3 Mn 1.99-2.12
F 0.7362 0.7780 0.0585  3 Mn 2.03-2.16
F 0.7475 0.9357 0.4590  3 Mn 2.03-2.17
F 0.7591 0.6533 0.6827  3 Mn 2.06-2.11
F 0.7633 0.1445 0.1759  3 Mn 2.00-2.14
F 0.7920 0.2903 0.5389  3 Mn 2.05-2.19


(6)
Here is a relaxed structure of MnHC5O5 from the Materials Project database. Energies are from GGA+U.

abc: 12.5297 6.4603 20.0136
angles: 90.00 91.65 90.00
Closest atoms and distances in Å follow each position.
Space group C2/c (No. 15)
Asymmetric unit:
Mn 0.0777 0.2426 0.1253  1 H 1.59
H 0.0378 0.3405 0.1929  1 Mn 1.59
C 0.0092 0.0279 0.3486  1 O 1.16
C 0.0401 0.3768 0.4120  1 O 1.16
C 0.1227 0.1258 0.0470  1 O 1.16
C 0.1524 0.4882 0.1204  1 O 1.16
C 0.1857 0.1355 0.1807  1 O 1.15
O 0.0646 0.1011 0.8294  1 C 1.16
O 0.1140 0.4664 0.4325  1 C 1.16
O 0.1480 0.0516 0.9972  1 C 1.16
O 0.1962 0.3543 0.6191  1 C 1.16
O 0.2505 0.0707 0.2172  1 C 1.15


no.,calculated formation energy (kJ/mol of formula units)
1,-2173
2,-3778
3,-7544
4,-5264
5,-669
6,-829